The following is a PBE calculation of a geometry-optimized Ac3La structure, from Materials Project.

Density, Mg/m³: 7.85
Formation energy from the elements, eV per atom: 0.04
Crystal system: hexagonal

Unit cell a=7.9162 b=7.9162 c=6.3922 alpha=90.00 beta=90.00 gamma=120.00
With the nearest neighbours (Å) after each atom.
Element x y z (fractional)
Ac1 0.8320 0.1680 0.7500  4 La 3.92-3.96, 8 Ac 3.93-3.99
Ac2 0.8320 0.6641 0.7500  4 La 3.92-3.96, 8 Ac 3.93-3.99
Ac3 0.3359 0.1680 0.7500  4 La 3.92-3.96, 8 Ac 3.93-3.99
Ac4 0.1680 0.3359 0.2500  4 La 3.92-3.96, 8 Ac 3.93-3.99
La1 0.6667 0.3333 0.2500  12 Ac 3.92-3.96
La2 0.3333 0.6667 0.7500  12 Ac 3.92-3.96
Ac5 0.6641 0.8320 0.2500  4 La 3.92-3.96, 8 Ac 3.93-3.99
Ac6 0.1680 0.8320 0.2500  4 La 3.92-3.96, 8 Ac 3.93-3.99